The following is a PBE+U calculation of Li6Mn5FeB6O18 after structural relaxation, from Materials Project.

abc: 8.272 3.184 14.330
angles: 90.00 90.10 90.00
Space group Pm (No. 6)
Unique sites:
Li 0.000 0.000 0.000 (multiplicity 1)
Li 0.026 0.000 0.293 (multiplicity 1)
Li 0.074 0.000 0.659 (multiplicity 1)
Li 0.501 0.000 0.499 (multiplicity 1)
Li 0.527 0.000 0.792 (multiplicity 1)
Li 0.575 0.000 0.160 (multiplicity 1)
Mn 0.176 0.500 0.471 (multiplicity 1)
Mn 0.194 0.500 0.836 (multiplicity 1)
Mn 0.233 0.500 0.145 (multiplicity 1)
Mn 0.675 0.500 0.970 (multiplicity 1)
Mn 0.732 0.500 0.644 (multiplicity 1)
Fe 0.692 0.500 0.334 (multiplicity 1)
B 0.367 0.000 0.984 (multiplicity 1)
B 0.367 0.500 0.650 (multiplicity 1)
B 0.369 0.000 0.317 (multiplicity 1)
B 0.865 0.000 0.483 (multiplicity 1)
B 0.867 0.000 0.817 (multiplicity 1)
B 0.868 0.500 0.151 (multiplicity 1)
O 0.004 0.500 0.208 (multiplicity 1)
O 0.018 0.000 0.860 (multiplicity 1)
O 0.019 0.000 0.524 (multiplicity 1)
O 0.213 0.500 0.689 (multiplicity 1)
O 0.229 0.000 0.039 (multiplicity 1)
O 0.230 0.000 0.371 (multiplicity 1)
O 0.353 0.000 0.887 (multiplicity 1)
O 0.357 0.000 0.220 (multiplicity 1)
O 0.386 0.500 0.554 (multiplicity 1)
O 0.503 0.500 0.708 (multiplicity 1)
O 0.520 0.000 0.026 (multiplicity 1)
O 0.521 0.000 0.360 (multiplicity 1)
O 0.714 0.500 0.192 (multiplicity 1)
O 0.727 0.000 0.871 (multiplicity 1)
O 0.728 0.000 0.539 (multiplicity 1)
O 0.849 0.000 0.386 (multiplicity 1)
O 0.857 0.000 0.720 (multiplicity 1)
O 0.884 0.500 0.055 (multiplicity 1)

Properties
* formation energy: -2.481 eV per atom


The following is a PBE+U calculation of Li8MnFe7B8O24 after structural relaxation, from Materials Project.

abc: 5.240 9.016 11.117
angles: 107.81 90.76 90.81
Space group P1 (No. 1)
Unique sites:
Li 0.000 0.000 0.000 (multiplicity 1)
Li 0.000 0.499 0.499 (multiplicity 1)
Li 0.193 0.264 0.323 (multiplicity 1)
Li 0.193 0.765 0.823 (multiplicity 1)
Li 0.499 0.499 0.002 (multiplicity 1)
Li 0.500 0.000 0.500 (multiplicity 1)
Li 0.693 0.764 0.323 (multiplicity 1)
Li 0.695 0.264 0.826 (multiplicity 1)
Mn 0.676 0.580 0.779 (multiplicity 1)
Fe 0.010 0.182 0.544 (multiplicity 1)
Fe 0.016 0.685 0.043 (multiplicity 1)
Fe 0.175 0.584 0.278 (multiplicity 1)
Fe 0.183 0.083 0.779 (multiplicity 1)
Fe 0.509 0.182 0.044 (multiplicity 1)
Fe 0.509 0.682 0.540 (multiplicity 1)
Fe 0.683 0.084 0.279 (multiplicity 1)
B 0.017 0.346 0.034 (multiplicity 1)
B 0.017 0.847 0.532 (multiplicity 1)
B 0.177 0.919 0.292 (multiplicity 1)
B 0.178 0.418 0.793 (multiplicity 1)
B 0.517 0.346 0.531 (multiplicity 1)
B 0.520 0.846 0.034 (multiplicity 1)
B 0.675 0.920 0.791 (multiplicity 1)
B 0.677 0.419 0.292 (multiplicity 1)
O 0.028 0.280 0.750 (multiplicity 1)
O 0.032 0.780 0.251 (multiplicity 1)
O 0.052 0.061 0.319 (multiplicity 1)
O 0.059 0.561 0.822 (multiplicity 1)
O 0.139 0.704 0.505 (multiplicity 1)
O 0.140 0.204 0.006 (multiplicity 1)
O 0.164 0.485 0.074 (multiplicity 1)
O 0.164 0.985 0.573 (multiplicity 1)
O 0.256 0.349 0.514 (multiplicity 1)
O 0.259 0.850 0.015 (multiplicity 1)
O 0.438 0.409 0.811 (multiplicity 1)
O 0.438 0.915 0.309 (multiplicity 1)
O 0.527 0.782 0.748 (multiplicity 1)
O 0.530 0.280 0.251 (multiplicity 1)
O 0.551 0.062 0.820 (multiplicity 1)
O 0.552 0.561 0.320 (multiplicity 1)
O 0.642 0.204 0.505 (multiplicity 1)
O 0.643 0.703 0.007 (multiplicity 1)
O 0.663 0.485 0.571 (multiplicity 1)
O 0.665 0.985 0.073 (multiplicity 1)
O 0.756 0.852 0.514 (multiplicity 1)
O 0.757 0.350 0.016 (multiplicity 1)
O 0.935 0.915 0.810 (multiplicity 1)
O 0.938 0.413 0.309 (multiplicity 1)

Properties
* offset from the most stable computed form: 60 meV/atom
* formation energy: -2.294 eV per atom